A relaxed structure of Ba3Y4Co3O15, computed with PBE with a Hubbard U.

- E (MP2020): -7.68 eV per atom
- Crystal system: orthorhombic

Unit cell a=5.6890 b=12.0596 c=21.4545 alpha=90.00 beta=90.00 gamma=90.00
Sites, in units of the cell vectors:
O 0.7500 0.8948 0.0182
Y 0.7500 0.4119 0.3742
Co 0.2500 0.1569 0.0607
O 0.4752 0.2693 0.3801
O 0.5248 0.2307 0.8801
O 0.5047 0.9399 0.9052
Co 0.2500 0.1551 0.3992
Y 0.2500 0.0881 0.8742
Y 0.7500 0.4346 0.0344
Ba 0.2500 0.8898 0.6881
O 0.0047 0.0601 0.0948
Ba 0.7500 0.6102 0.1881
Ba 0.2500 0.3928 0.4771
Ba 0.7500 0.6039 0.8589
O 0.9920 0.2315 0.5613
O 0.9953 0.9399 0.9052
O 0.7500 0.3948 0.4818
O 0.5346 0.4269 0.2784
O 0.2500 0.0970 0.6474
O 0.4654 0.5731 0.7216
Co 0.7500 0.3431 0.5607
O 0.4752 0.7693 0.1199
Ba 0.2500 0.8961 0.3589
Ba 0.7500 0.1039 0.6411
O 0.9757 0.2413 0.2179
O 0.0248 0.7693 0.1199
O 0.2500 0.1052 0.9818
O 0.5080 0.7315 0.9387
Co 0.7500 0.3515 0.2306
Ba 0.2500 0.3898 0.8119
O 0.4684 0.5622 0.0580
O 0.0248 0.2693 0.3801
Y 0.2500 0.0654 0.5344
O 0.2500 0.6052 0.5182
O 0.2500 0.6040 0.1802
Co 0.2500 0.6551 0.1008
O 0.0316 0.5622 0.0580
O 0.5248 0.7307 0.6199
Co 0.7500 0.3449 0.8992
Y 0.2500 0.2984 0.2908
O 0.5047 0.4399 0.5948
O 0.9757 0.7413 0.2821
O 0.4757 0.2587 0.7179
O 0.0080 0.7685 0.4387
Co 0.7500 0.8449 0.6008
O 0.9953 0.4399 0.5948
O 0.7500 0.9030 0.3526
O 0.4920 0.7685 0.4387
O 0.9920 0.7315 0.9387
O 0.4920 0.2685 0.0613
O 0.7500 0.3960 0.8198
Ba 0.7500 0.6072 0.5229
O 0.5316 0.9378 0.5580
O 0.2500 0.5970 0.8526
O 0.0047 0.5601 0.4052
Y 0.7500 0.9119 0.1258
O 0.9684 0.4378 0.9420
O 0.7500 0.4030 0.1474
Y 0.2500 0.8068 0.8693
O 0.4684 0.0622 0.4420
O 0.9752 0.7307 0.6199
Ba 0.7500 0.1102 0.3119
O 0.7500 0.8960 0.6802
O 0.5316 0.4378 0.9420
Co 0.7500 0.8515 0.2694
Y 0.2500 0.7984 0.2092
O 0.0080 0.2685 0.0613
O 0.0346 0.0731 0.7784
O 0.5080 0.2315 0.5613
Y 0.7500 0.6932 0.3693
O 0.9752 0.2307 0.8801
O 0.9684 0.9378 0.5580
Y 0.7500 0.9346 0.4656
Y 0.7500 0.2016 0.7908
O 0.5243 0.7413 0.2821
O 0.5243 0.2413 0.2179
Y 0.7500 0.7016 0.7092
O 0.4757 0.7587 0.7821
Y 0.7500 0.1932 0.1307
Co 0.2500 0.6569 0.4393
O 0.9654 0.4269 0.2784
Ba 0.2500 0.3961 0.1411
Y 0.2500 0.3068 0.6307
Co 0.2500 0.1485 0.7306
O 0.0243 0.2587 0.7179
Ba 0.7500 0.1072 0.9771
O 0.0346 0.5731 0.7216
Y 0.2500 0.5881 0.6258
O 0.0316 0.0622 0.4420
O 0.4953 0.5601 0.4052
Co 0.7500 0.8431 0.9393
Co 0.2500 0.6485 0.7694
O 0.4654 0.0731 0.7784
O 0.0243 0.7587 0.7821
O 0.2500 0.1040 0.3198
Y 0.2500 0.5654 0.9656
O 0.5346 0.9269 0.2216
Ba 0.2500 0.8928 0.0229
O 0.4953 0.0601 0.0948
O 0.9654 0.9269 0.2216